(1)
# PBE InAg3C6N6, optimized geometry
data_InAg3C6N6
_chemical_formula_sum 'In1 Ag3 C6 N6'
_space_group_name_H-M_alt 'P -3 1 m'
_space_group_IT_number 162
_space_group_name_Hall '-P 3 2'
_cell_length_a 7.8009
_cell_length_b 7.8009
_cell_length_c 7.6419
_cell_angle_alpha 90.00
_cell_angle_beta 90.00
_cell_angle_gamma 120.00
loop_
_atom_site_label
_atom_site_type_symbol
_atom_site_fract_x
_atom_site_fract_y
_atom_site_fract_z
_atom_site_occupancy
In1 In 0.0000 0.0000 0.0000 1
Ag1 Ag 0.0000 0.5000 0.5000 1
C1 C 0.0000 0.2447 0.8256 1
N1 N 0.0000 0.3536 0.7206 1
# energy relative to the elements: 37.6 kJ/mol of atoms

***

(2)
# PBE KMnAg3C6N6, optimized geometry
data_KMnAg3C6N6
_chemical_formula_sum 'K1 Mn1 Ag3 C6 N6'
_space_group_name_H-M_alt 'P 3 1 2'
_space_group_IT_number 149
_cell_length_a 6.9706
_cell_length_b 6.9706
_cell_length_c 8.1606
_cell_angle_alpha 90.00
_cell_angle_beta 90.00
_cell_angle_gamma 120.00
loop_
_space_group_symop_operation_xyz
'x,y,z'
'-y,x-y,z'
'-x+y,-x,z'
'-y,-x,-z'
'-x+y,y,-z'
'x,x-y,-z'
loop_
_atom_site_label
_atom_site_type_symbol
_atom_site_fract_x
_atom_site_fract_y
_atom_site_fract_z
_atom_site_occupancy
K1 K 0.0000 0.0000 0.0000 1
Mn1 Mn 0.3333 0.6667 0.0000 1
Ag1 Ag 0.3443 0.1722 0.5000 1
C1 C 0.3376 0.0138 0.2855 1
N1 N 0.0807 0.4098 0.1643 1
# energy relative to the elements: 8.8 kJ/mol of atoms

***

(3)
# PBE K2NaAg3C6N6, optimized geometry
data_K2NaAg3C6N6
_chemical_formula_sum 'K2 Na1 Ag3 C6 N6'
_space_group_name_H-M_alt 'P -3 1 m'
_space_group_IT_number 162
_space_group_name_Hall '-P 3 2'
_cell_length_a 7.1888
_cell_length_b 7.1888
_cell_length_c 8.6501
_cell_angle_alpha 90.00
_cell_angle_beta 90.00
_cell_angle_gamma 120.00
loop_
_atom_site_label
_atom_site_type_symbol
_atom_site_fract_x
_atom_site_fract_y
_atom_site_fract_z
_atom_site_occupancy
K1 K 0.3333 0.6667 0.0000 1
Na1 Na 0.0000 0.0000 0.0000 1
Ag1 Ag 0.0000 0.5000 0.5000 1
C1 C 0.0000 0.3664 0.7100 1
N1 N 0.0000 0.2961 0.8325 1
# energy relative to the elements: -10.8 kJ/mol of atoms

***

(4)
# PBE K2AgC3S3N3, optimized geometry
data_K2AgC3S3N3
_chemical_formula_sum 'K16 Ag8 C24 S24 N24'
_space_group_name_H-M_alt 'P 1 21/c 1'
_space_group_IT_number 14
_cell_length_a 9.9686
_cell_length_b 20.2705
_cell_length_c 12.5321
_cell_angle_alpha 90.00
_cell_angle_beta 124.44
_cell_angle_gamma 90.00
loop_
_space_group_symop_operation_xyz
'x,y,z'
'-x,-y,-z'
'-x,y+1/2,-z+1/2'
'x,-y+1/2,z+1/2'
loop_
_atom_site_label
_atom_site_type_symbol
_atom_site_fract_x
_atom_site_fract_y
_atom_site_fract_z
_atom_site_occupancy
K1 K 0.0084 0.1074 0.3770 1
K2 K 0.2016 0.2198 0.7114 1
K3 K 0.2946 0.7355 0.0427 1
K4 K 0.4690 0.0979 0.1098 1
Ag1 Ag 0.0019 0.0482 0.8785 1
Ag2 Ag 0.4828 0.5720 0.9001 1
C1 C 0.0285 0.1279 0.1326 1
C2 C 0.0414 0.7180 0.6390 1
C3 C 0.1834 0.0481 0.7244 1
C4 C 0.2801 0.5641 0.0462 1
C5 C 0.4296 0.2277 0.5863 1
C6 C 0.4486 0.6126 0.6231 1
S1 S 0.0804 0.6601 0.7453 1
S2 S 0.1445 0.0696 0.1317 1
S3 S 0.2281 0.0022 0.8497 1
S4 S 0.2734 0.5140 0.9397 1
S5 S 0.3695 0.5550 0.6644 1
S6 S 0.3902 0.1773 0.4681 1
N1 N 0.0147 0.7399 0.0635 1
N2 N 0.0509 0.6696 0.3622 1
N3 N 0.1511 0.0815 0.6355 1
N4 N 0.2841 0.6009 0.1214 1
N5 N 0.4560 0.2360 0.1702 1
N6 N 0.4983 0.1536 0.9110 1
# energy relative to the elements: -42.3 kJ/mol of atoms

***

(5)
# PBE KAgC2S2N2, optimized geometry
data_KAgC2S2N2
_chemical_formula_sum 'K8 Ag8 C16 S16 N16'
_space_group_name_H-M_alt 'P b c a'
_space_group_IT_number 61
_cell_length_a 6.7368
_cell_length_b 18.0697
_cell_length_c 10.8460
_cell_angle_alpha 90.00
_cell_angle_beta 90.00
_cell_angle_gamma 90.00
loop_
_space_group_symop_operation_xyz
'x,y,z'
'-x,-y,-z'
'-x+1/2,-y,z+1/2'
'x+1/2,y,-z+1/2'
'x+1/2,-y+1/2,-z'
'-x+1/2,y+1/2,z'
'-x,y+1/2,-z+1/2'
'x,-y+1/2,z+1/2'
loop_
_atom_site_label
_atom_site_type_symbol
_atom_site_fract_x
_atom_site_fract_y
_atom_site_fract_z
_atom_site_occupancy
K1 K 0.1474 0.2303 0.1265 1
Ag1 Ag 0.1701 0.0026 0.6276 1
C1 C 0.0208 0.1240 0.8470 1
C2 C 0.1673 0.1316 0.3979 1
S1 S 0.0189 0.6087 0.0103 1
S2 S 0.0434 0.0330 0.8494 1
N1 N 0.0050 0.1892 0.8502 1
N2 N 0.1980 0.6498 0.3354 1
# energy relative to the elements: -31.3 kJ/mol of atoms

***

(6)
# PBE K3AgC4S4N4, optimized geometry
data_K3AgC4S4N4
_chemical_formula_sum 'K12 Ag4 C16 S16 N16'
_space_group_name_H-M_alt 'P 1 21/c 1'
_space_group_IT_number 14
_cell_length_a 14.7314
_cell_length_b 12.9195
_cell_length_c 8.1024
_cell_angle_alpha 90.00
_cell_angle_beta 104.49
_cell_angle_gamma 90.00
loop_
_space_group_symop_operation_xyz
'x,y,z'
'-x,-y,-z'
'-x,y+1/2,-z+1/2'
'x,-y+1/2,z+1/2'
loop_
_atom_site_label
_atom_site_type_symbol
_atom_site_fract_x
_atom_site_fract_y
_atom_site_fract_z
_atom_site_occupancy
K1 K 0.0197 0.2425 0.0899 1
K2 K 0.1982 0.0091 0.8420 1
K3 K 0.4757 0.7471 0.9644 1
Ag1 Ag 0.2767 0.5128 0.8653 1
C1 C 0.0404 0.5278 0.7596 1
C2 C 0.1900 0.7459 0.6987 1
C3 C 0.2747 0.2259 0.2134 1
C4 C 0.4412 0.0331 0.7327 1
S1 S 0.1132 0.0541 0.3800 1
S2 S 0.2768 0.6728 0.6722 1
S3 S 0.3514 0.1323 0.2172 1
S4 S 0.3726 0.5680 0.1722 1
N1 N 0.0138 0.0860 0.8266 1
N2 N 0.1281 0.6998 0.2165 1
N3 N 0.2192 0.2074 0.7103 1
N4 N 0.4905 0.1053 0.7781 1
# energy relative to the elements: -48.0 kJ/mol of atoms

***

(7)
# PBE KAgCO3, optimized geometry
data_KAgCO3
_chemical_formula_sum 'K8 Ag8 C8 O24'
_space_group_name_H-M_alt 'I b c a'
_space_group_IT_number 73
_space_group_name_Hall '-I 2b 2c'
_cell_length_a 5.8561
_cell_length_b 6.0696
_cell_length_c 20.7412
_cell_angle_alpha 90.00
_cell_angle_beta 90.00
_cell_angle_gamma 90.00
loop_
_atom_site_label
_atom_site_type_symbol
_atom_site_fract_x
_atom_site_fract_y
_atom_site_fract_z
_atom_site_occupancy
K1 K 0.0000 0.2500 0.1801 1
Ag1 Ag 0.2500 0.1346 0.0000 1
C1 C 0.0000 0.2500 0.3727 1
O1 O 0.0000 0.2500 0.3108 1
O2 O 0.1392 0.1162 0.9028 1
# energy relative to the elements: -159.4 kJ/mol of atoms

***

(8)
# PBE KAgCO3, optimized geometry
data_KAgCO3
_chemical_formula_sum 'K8 Ag8 C8 O24'
_space_group_name_H-M_alt 'I b c a'
_space_group_IT_number 73
_space_group_name_Hall '-I 2b 2c'
_cell_length_a 5.8614
_cell_length_b 5.9382
_cell_length_c 20.4778
_cell_angle_alpha 90.00
_cell_angle_beta 90.00
_cell_angle_gamma 90.00
loop_
_atom_site_label
_atom_site_type_symbol
_atom_site_fract_x
_atom_site_fract_y
_atom_site_fract_z
_atom_site_occupancy
K1 K 0.0000 0.2500 0.1803 1
Ag1 Ag 0.2500 0.1330 0.0000 1
C1 C 0.0000 0.2500 0.3769 1
O1 O 0.0000 0.2500 0.3140 1
O2 O 0.1504 0.1276 0.4083 1
# energy relative to the elements: -152.8 kJ/mol of atoms

***

(9)
# PBE KAgCO3, optimized geometry
data_KAgCO3
_chemical_formula_sum 'K4 Ag4 C4 O12'
_space_group_name_H-M_alt 'P 1'
_space_group_IT_number 1
_cell_length_a 5.9130
_cell_length_b 5.9834
_cell_length_c 11.0202
_cell_angle_alpha 105.67
_cell_angle_beta 104.42
_cell_angle_gamma 90.14
loop_
_space_group_symop_operation_xyz
'x,y,z'
loop_
_atom_site_label
_atom_site_type_symbol
_atom_site_fract_x
_atom_site_fract_y
_atom_site_fract_z
_atom_site_occupancy
K1 K 0.0000 0.0000 0.0000 1
K2 K 0.1411 0.6373 0.2813 1
K3 K 0.4980 0.4960 0.9978 1
K4 K 0.6394 0.1403 0.2827 1
Ag1 Ag 0.2205 0.0616 0.6406 1
Ag2 Ag 0.4229 0.5793 0.6368 1
Ag3 Ag 0.7208 0.0584 0.6430 1
Ag4 Ag 0.9206 0.5552 0.6381 1
C1 C 0.1921 0.1924 0.3919 1
C2 C 0.4469 0.9430 0.8894 1
C3 C 0.6925 0.6925 0.3911 1
C4 C 0.9471 0.4429 0.8896 1
O1 O 0.0065 0.5050 0.0151 1
O2 O 0.0230 0.2520 0.8261 1
O3 O 0.1135 0.3824 0.4546 1
O4 O 0.1325 0.1287 0.2663 1
O5 O 0.3113 0.7525 0.8246 1
O6 O 0.3318 0.0676 0.4550 1
O7 O 0.5029 0.0037 0.0149 1
O8 O 0.5252 0.0736 0.8280 1
O9 O 0.6122 0.5649 0.4534 1
O10 O 0.6351 0.6312 0.2656 1
O11 O 0.8112 0.5708 0.8270 1
O12 O 0.8313 0.8812 0.4549 1
# energy relative to the elements: -153.4 kJ/mol of atoms

***

(10)
# PBE LiAgC2, optimized geometry
data_LiAgC2
_chemical_formula_sum 'Li1 Ag1 C2'
_space_group_name_H-M_alt 'P -6 m 2'
_space_group_IT_number 187
_space_group_name_Hall 'P -6 2'
_cell_length_a 3.8416
_cell_length_b 3.8416
_cell_length_c 5.3556
_cell_angle_alpha 90.00
_cell_angle_beta 90.00
_cell_angle_gamma 120.00
loop_
_atom_site_label
_atom_site_type_symbol
_atom_site_fract_x
_atom_site_fract_y
_atom_site_fract_z
_atom_site_occupancy
Li1 Li 0.0000 0.0000 0.0000 1
Ag1 Ag 0.6667 0.3333 0.5000 1
C1 C 0.6667 0.3333 0.1166 1
# energy relative to the elements: 36.4 kJ/mol of atoms

***

(11)
# PBE LiAgC2O4, optimized geometry
data_LiAgC2O4
_chemical_formula_sum 'Li2 Ag2 C4 O8'
_space_group_name_H-M_alt 'P 1 c 1'
_space_group_IT_number 7
_cell_length_a 3.7923
_cell_length_b 5.3280
_cell_length_c 10.2399
_cell_angle_alpha 90.00
_cell_angle_beta 93.57
_cell_angle_gamma 90.00
loop_
_space_group_symop_operation_xyz
'x,y,z'
'x,-y,z+1/2'
loop_
_atom_site_label
_atom_site_type_symbol
_atom_site_fract_x
_atom_site_fract_y
_atom_site_fract_z
_atom_site_occupancy
Li1 Li 0.0000 0.1916 0.0000 1
Ag1 Ag 0.5694 0.3446 0.2958 1
C1 C 0.0402 0.1642 0.7031 1
C2 C 0.8404 0.2874 0.5807 1
O1 O 0.0525 0.2821 0.8110 1
O2 O 0.1772 0.0470 0.1796 1
O3 O 0.7484 0.4837 0.0836 1
O4 O 0.7893 0.1434 0.4826 1
# energy relative to the elements: -144.7 kJ/mol of atoms